This record from the Materials Project database describes an optimized crystal structure of SnTe. The functional is meta-GGA r2SCAN.

Properties
Symmetry ... Fm-3m
Calculated formation energy ... -265 meV/atom
Crystal system ... cubic
E_tot ... -25.347 eV per atom

Cell lengths 6.372, 6.372, 6.372 Å; angles 90.00, 90.00, 90.00 degrees
Positions (direct):
1 Sn 0.000 0.000 0.000
2 Sn 0.000 0.500 0.500
3 Sn 0.500 0.000 0.500
4 Sn 0.500 0.500 0.000
5 Te 0.000 0.000 0.500
6 Te 0.000 0.500 0.000
7 Te 0.500 0.000 0.000
8 Te 0.500 0.500 0.500